(1)
# Al24Zn3O40, optimized geometry, DFT PBE-GGA
data_Al24Zn3O40
_space_group_name_H-M_alt 'P 1'
_space_group_IT_number 1
_cell_length_a 5.694
_cell_length_b 5.694
_cell_length_c 23.288
_cell_angle_alpha 97.05
_cell_angle_beta 97.05
_cell_angle_gamma 60.34
loop_
_space_group_symop_operation_xyz
'x,y,z'
loop_
_atom_site_label
_atom_site_type_symbol
_atom_site_fract_x
_atom_site_fract_y
_atom_site_fract_z
Al1 Al 0.000 0.000 0.000
Al2 Al 0.000 0.503 0.000
Al3 Al 0.007 0.007 0.501
Al4 Al 0.072 0.072 0.728
Al5 Al 0.097 0.606 0.805
Al6 Al 0.201 0.712 0.604
Al7 Al 0.202 0.202 0.102
Al8 Al 0.279 0.279 0.332
Al9 Al 0.305 0.799 0.398
Al10 Al 0.391 0.391 0.698
Al11 Al 0.410 0.410 0.208
Al12 Al 0.410 0.894 0.208
Al13 Al 0.478 0.478 0.932
Al14 Al 0.503 0.000 0.000
Al15 Al 0.604 0.604 0.804
Al16 Al 0.606 0.097 0.805
Al17 Al 0.672 0.672 0.526
Al18 Al 0.712 0.201 0.604
Al19 Al 0.733 0.733 0.675
Al20 Al 0.799 0.305 0.398
Al21 Al 0.800 0.800 0.398
Al22 Al 0.878 0.878 0.130
Al23 Al 0.894 0.410 0.208
Al24 Al 0.927 0.927 0.274
Zn1 Zn 0.128 0.128 0.877
Zn2 Zn 0.329 0.329 0.475
Zn3 Zn 0.528 0.528 0.077
O1 O 0.042 0.042 0.651
O2 O 0.065 0.065 0.154
O3 O 0.065 0.528 0.154
O4 O 0.071 0.567 0.654
O5 O 0.128 0.695 0.447
O6 O 0.132 0.132 0.448
O7 O 0.152 0.656 0.960
O8 O 0.155 0.155 0.960
O9 O 0.249 0.751 0.247
O10 O 0.252 0.252 0.250
O11 O 0.261 0.261 0.753
O12 O 0.266 0.723 0.754
O13 O 0.331 0.892 0.051
O14 O 0.332 0.332 0.051
O15 O 0.333 0.835 0.550
O16 O 0.374 0.374 0.560
O17 O 0.449 0.449 0.849
O18 O 0.456 0.456 0.359
O19 O 0.456 0.952 0.359
O20 O 0.469 0.937 0.842
O21 O 0.528 0.065 0.154
O22 O 0.547 0.547 0.652
O23 O 0.556 0.556 0.163
O24 O 0.567 0.071 0.654
O25 O 0.651 0.651 0.447
O26 O 0.656 0.152 0.960
O27 O 0.656 0.656 0.960
O28 O 0.695 0.128 0.447
O29 O 0.723 0.266 0.754
O30 O 0.751 0.249 0.247
O31 O 0.751 0.751 0.246
O32 O 0.752 0.752 0.754
O33 O 0.835 0.333 0.550
O34 O 0.851 0.851 0.050
O35 O 0.859 0.859 0.554
O36 O 0.892 0.331 0.051
O37 O 0.937 0.469 0.842
O38 O 0.939 0.939 0.843
O39 O 0.952 0.456 0.359
O40 O 0.954 0.954 0.353
# spin magnetization = 0.011 μB/cell
# SG = Cm (8)



(2)
# Al10ZnO16, optimized geometry, DFT PBE-GGA
data_Al10ZnO16
_space_group_name_H-M_alt 'P 1'
_space_group_IT_number 1
_cell_length_a 9.703
_cell_length_b 9.703
_cell_length_c 9.703
_cell_angle_alpha 34.26
_cell_angle_beta 34.26
_cell_angle_gamma 34.26
loop_
_space_group_symop_operation_xyz
'x,y,z'
loop_
_atom_site_label
_atom_site_type_symbol
_atom_site_fract_x
_atom_site_fract_y
_atom_site_fract_z
Al1 Al 0.000 0.000 0.000
Al2 Al 0.055 0.571 0.571
Al3 Al 0.056 0.056 0.561
Al4 Al 0.056 0.561 0.056
Al5 Al 0.121 0.121 0.121
Al6 Al 0.309 0.309 0.309
Al7 Al 0.503 0.503 0.503
Al8 Al 0.561 0.056 0.056
Al9 Al 0.571 0.055 0.571
Al10 Al 0.571 0.571 0.055
Zn1 Zn 0.621 0.621 0.621
O1 O 0.187 0.187 0.187
O2 O 0.188 0.694 0.694
O3 O 0.200 0.200 0.662
O4 O 0.200 0.662 0.200
O5 O 0.411 0.411 0.975
O6 O 0.411 0.975 0.411
O7 O 0.430 0.932 0.932
O8 O 0.434 0.434 0.434
O9 O 0.662 0.200 0.200
O10 O 0.694 0.188 0.694
O11 O 0.694 0.694 0.188
O12 O 0.694 0.694 0.694
O13 O 0.932 0.430 0.932
O14 O 0.932 0.932 0.430
O15 O 0.933 0.933 0.933
O16 O 0.975 0.411 0.411
# spin magnetization = 0.002 μB/cell
# SG = R3m (160)



(3)
# Zr10Al6O, optimized geometry, DFT PBE-GGA
data_Zr10Al6O
_space_group_name_H-M_alt 'P 1'
_space_group_IT_number 1
_cell_length_a 8.282
_cell_length_b 8.282
_cell_length_c 5.587
_cell_angle_alpha 90.00
_cell_angle_beta 90.00
_cell_angle_gamma 120.00
loop_
_space_group_symop_operation_xyz
'x,y,z'
loop_
_atom_site_label
_atom_site_type_symbol
_atom_site_fract_x
_atom_site_fract_y
_atom_site_fract_z
Zr1 Zr 0.000 0.233 0.248
Zr2 Zr 0.000 0.767 0.752
Zr3 Zr 0.233 0.000 0.248
Zr4 Zr 0.233 0.233 0.752
Zr5 Zr 0.333 0.667 0.000
Zr6 Zr 0.333 0.667 0.500
Zr7 Zr 0.667 0.333 0.000
Zr8 Zr 0.667 0.333 0.500
Zr9 Zr 0.767 0.000 0.752
Zr10 Zr 0.767 0.767 0.248
Al1 Al 0.000 0.398 0.747
Al2 Al 0.000 0.602 0.253
Al3 Al 0.398 0.000 0.747
Al4 Al 0.398 0.398 0.253
Al5 Al 0.602 0.000 0.253
Al6 Al 0.602 0.602 0.747
O1 O 0.000 0.000 0.000
# spin magnetization = 0.032 μB/cell
# SG = P-31m (162)



(4)
# ZrAlO3, optimized geometry, DFT PBE-GGA
data_ZrAlO3
_space_group_name_H-M_alt 'P 1'
_space_group_IT_number 1
_cell_length_a 3.672
_cell_length_b 3.672
_cell_length_c 3.672
_cell_angle_alpha 90.00
_cell_angle_beta 90.00
_cell_angle_gamma 90.00
loop_
_space_group_symop_operation_xyz
'x,y,z'
loop_
_atom_site_label
_atom_site_type_symbol
_atom_site_fract_x
_atom_site_fract_y
_atom_site_fract_z
Zr1 Zr 0.000 0.000 0.000
Al1 Al 0.500 0.500 0.500
O1 O 0.000 0.500 0.500
O2 O 0.500 0.000 0.500
O3 O 0.500 0.500 0.000
# spin magnetization = 0.047 μB/cell
# SG = Pm-3m (221)



(5)
# Zr10Al6O, optimized geometry, DFT PBE-GGA
data_Zr10Al6O
_space_group_name_H-M_alt 'P 1'
_space_group_IT_number 1
_cell_length_a 14.272
_cell_length_b 14.272
_cell_length_c 5.646
_cell_angle_alpha 90.00
_cell_angle_beta 90.00
_cell_angle_gamma 120.00
loop_
_space_group_symop_operation_xyz
'x,y,z'
loop_
_atom_site_label
_atom_site_type_symbol
_atom_site_fract_x
_atom_site_fract_y
_atom_site_fract_z
Zr1 Zr 0.008 0.325 0.000
Zr2 Zr 0.008 0.683 0.000
Zr3 Zr 0.077 0.155 0.234
Zr4 Zr 0.077 0.923 0.234
Zr5 Zr 0.156 0.078 0.747
Zr6 Zr 0.176 0.588 0.266
Zr7 Zr 0.256 0.512 0.759
Zr8 Zr 0.256 0.744 0.759
Zr9 Zr 0.317 0.325 0.000
Zr10 Zr 0.317 0.992 0.000
Zr11 Zr 0.350 0.006 0.500
Zr12 Zr 0.350 0.344 0.500
Zr13 Zr 0.412 0.588 0.266
Zr14 Zr 0.412 0.824 0.266
Zr15 Zr 0.488 0.744 0.759
Zr16 Zr 0.511 0.255 0.251
Zr17 Zr 0.589 0.178 0.735
Zr18 Zr 0.589 0.411 0.735
Zr19 Zr 0.656 0.006 0.500
Zr20 Zr 0.656 0.650 0.500
Zr21 Zr 0.675 0.683 0.000
Zr22 Zr 0.675 0.992 0.000
Zr23 Zr 0.745 0.255 0.251
Zr24 Zr 0.745 0.489 0.251
Zr25 Zr 0.822 0.411 0.735
Zr26 Zr 0.845 0.923 0.234
Zr27 Zr 0.922 0.078 0.747
Zr28 Zr 0.922 0.844 0.747
Zr29 Zr 0.994 0.344 0.500
Zr30 Zr 0.994 0.650 0.500
Al1 Al 0.068 0.534 0.791
Al2 Al 0.133 0.266 0.703
Al3 Al 0.133 0.867 0.703
Al4 Al 0.201 0.401 0.282
Al5 Al 0.201 0.799 0.282
Al6 Al 0.266 0.133 0.258
Al7 Al 0.401 0.201 0.758
Al8 Al 0.466 0.534 0.791
Al9 Al 0.466 0.932 0.791
Al10 Al 0.534 0.068 0.203
Al11 Al 0.534 0.466 0.203
Al12 Al 0.599 0.799 0.282
Al13 Al 0.734 0.867 0.703
Al14 Al 0.799 0.201 0.758
Al15 Al 0.799 0.599 0.758
Al16 Al 0.867 0.133 0.258
Al17 Al 0.867 0.734 0.258
Al18 Al 0.932 0.466 0.203
O1 O 0.000 0.000 0.990
O2 O 0.333 0.667 0.513
O3 O 0.667 0.333 0.490
# spin magnetization = 0.200 μB/cell
# SG = P3m1 (156)



(6)
# AlOs, optimized geometry, DFT PBE-GGA
data_AlOs
_space_group_name_H-M_alt 'P 1'
_space_group_IT_number 1
_cell_length_a 3.018
_cell_length_b 3.018
_cell_length_c 3.018
_cell_angle_alpha 90.00
_cell_angle_beta 90.00
_cell_angle_gamma 90.00
loop_
_space_group_symop_operation_xyz
'x,y,z'
loop_
_atom_site_label
_atom_site_type_symbol
_atom_site_fract_x
_atom_site_fract_y
_atom_site_fract_z
Al1 Al 0.000 0.000 0.000
Os1 Os 0.500 0.500 0.500
# SG = Pm-3m (221)



(7)
# Al3Os2, optimized geometry, DFT PBE-GGA
data_Al3Os2
_space_group_name_H-M_alt 'P 1'
_space_group_IT_number 1
_cell_length_a 7.466
_cell_length_b 7.466
_cell_length_c 7.466
_cell_angle_alpha 155.82
_cell_angle_beta 155.82
_cell_angle_gamma 34.47
loop_
_space_group_symop_operation_xyz
'x,y,z'
loop_
_atom_site_label
_atom_site_type_symbol
_atom_site_fract_x
_atom_site_fract_y
_atom_site_fract_z
Al1 Al 0.000 0.000 0.000
Al2 Al 0.196 0.196 0.000
Al3 Al 0.804 0.804 0.000
Os1 Os 0.394 0.394 0.000
Os2 Os 0.606 0.606 0.000
# SG = I4/mmm (139)



(8)
# Al2Os, optimized geometry, DFT PBE-GGA
data_Al2Os
_space_group_name_H-M_alt 'P 1'
_space_group_IT_number 1
_cell_length_a 4.737
_cell_length_b 4.737
_cell_length_c 4.737
_cell_angle_alpha 140.73
_cell_angle_beta 140.73
_cell_angle_gamma 56.75
loop_
_space_group_symop_operation_xyz
'x,y,z'
loop_
_atom_site_label
_atom_site_type_symbol
_atom_site_fract_x
_atom_site_fract_y
_atom_site_fract_z
Al1 Al 0.162 0.162 0.000
Al2 Al 0.838 0.838 0.000
Os1 Os 0.500 0.500 0.000
# SG = I4/mmm (139)



(9)
# PrAl10Os2, optimized geometry, DFT PBE-GGA
data_PrAl10Os2
_space_group_name_H-M_alt 'P 1'
_space_group_IT_number 1
_cell_length_a 6.889
_cell_length_b 6.889
_cell_length_c 9.202
_cell_angle_alpha 90.00
_cell_angle_beta 90.00
_cell_angle_gamma 96.43
loop_
_space_group_symop_operation_xyz
'x,y,z'
loop_
_atom_site_label
_atom_site_type_symbol
_atom_site_fract_x
_atom_site_fract_y
_atom_site_fract_z
Pr1 Pr 0.126 0.874 0.750
Pr2 Pr 0.874 0.126 0.250
Al1 Al 0.140 0.413 0.750
Al2 Al 0.160 0.840 0.102
Al3 Al 0.160 0.840 0.398
Al4 Al 0.221 0.483 0.250
Al5 Al 0.228 0.228 0.000
Al6 Al 0.228 0.228 0.500
Al7 Al 0.377 0.623 0.549
Al8 Al 0.377 0.623 0.951
Al9 Al 0.413 0.140 0.250
Al10 Al 0.483 0.221 0.750
Al11 Al 0.517 0.779 0.250
Al12 Al 0.587 0.860 0.750
Al13 Al 0.623 0.377 0.049
Al14 Al 0.623 0.377 0.451
Al15 Al 0.772 0.772 0.000
Al16 Al 0.772 0.772 0.500
Al17 Al 0.779 0.517 0.750
Al18 Al 0.840 0.160 0.602
Al19 Al 0.840 0.160 0.898
Al20 Al 0.860 0.587 0.250
Os1 Os 0.000 0.500 0.000
Os2 Os 0.000 0.500 0.500
Os3 Os 0.500 0.000 0.000
Os4 Os 0.500 0.000 0.500
# SG = Cmcm (63)



(10)
# Sc6Al16Os7, optimized geometry, DFT PBE-GGA
data_Sc6Al16Os7
_space_group_name_H-M_alt 'P 1'
_space_group_IT_number 1
_cell_length_a 8.773
_cell_length_b 8.773
_cell_length_c 8.773
_cell_angle_alpha 60.00
_cell_angle_beta 60.00
_cell_angle_gamma 60.00
loop_
_space_group_symop_operation_xyz
'x,y,z'
loop_
_atom_site_label
_atom_site_type_symbol
_atom_site_fract_x
_atom_site_fract_y
_atom_site_fract_z
Sc1 Sc 0.212 0.212 0.788
Sc2 Sc 0.212 0.788 0.212
Sc3 Sc 0.212 0.788 0.788
Sc4 Sc 0.788 0.212 0.212
Sc5 Sc 0.788 0.212 0.788
Sc6 Sc 0.788 0.788 0.212
Al1 Al 0.138 0.621 0.621
Al2 Al 0.163 0.163 0.163
Al3 Al 0.163 0.163 0.511
Al4 Al 0.163 0.511 0.163
Al5 Al 0.379 0.379 0.379
Al6 Al 0.379 0.379 0.862
Al7 Al 0.379 0.862 0.379
Al8 Al 0.489 0.837 0.837
Al9 Al 0.511 0.163 0.163
Al10 Al 0.621 0.138 0.621
Al11 Al 0.621 0.621 0.138
Al12 Al 0.621 0.621 0.621
Al13 Al 0.837 0.489 0.837
Al14 Al 0.837 0.837 0.489
Al15 Al 0.837 0.837 0.837
Al16 Al 0.862 0.379 0.379
Os1 Os 0.000 0.000 0.500
Os2 Os 0.000 0.500 0.000
Os3 Os 0.000 0.500 0.500
Os4 Os 0.500 0.000 0.000
Os5 Os 0.500 0.000 0.500
Os6 Os 0.500 0.500 0.000
Os7 Os 0.500 0.500 0.500
# SG = Fm-3m (225)



(11)
# Tb3Al12Os4, optimized geometry, DFT PBE-GGA
data_Tb3Al12Os4
_space_group_name_H-M_alt 'P 1'
_space_group_IT_number 1
_cell_length_a 8.852
_cell_length_b 8.852
_cell_length_c 9.577
_cell_angle_alpha 90.00
_cell_angle_beta 90.00
_cell_angle_gamma 120.00
loop_
_space_group_symop_operation_xyz
'x,y,z'
loop_
_atom_site_label
_atom_site_type_symbol
_atom_site_fract_x
_atom_site_fract_y
_atom_site_fract_z
Tb1 Tb 0.193 0.386 0.250
Tb2 Tb 0.193 0.807 0.250
Tb3 Tb 0.386 0.193 0.750
Tb4 Tb 0.614 0.807 0.250
Tb5 Tb 0.807 0.193 0.750
Tb6 Tb 0.807 0.614 0.750
Al1 Al 0.000 0.000 0.250
Al2 Al 0.000 0.000 0.750
Al3 Al 0.121 0.560 0.750
Al4 Al 0.163 0.325 0.576
Al5 Al 0.163 0.325 0.924
Al6 Al 0.163 0.837 0.576
Al7 Al 0.163 0.837 0.924
Al8 Al 0.325 0.163 0.076
Al9 Al 0.325 0.163 0.424
Al10 Al 0.333 0.667 0.014
Al11 Al 0.333 0.667 0.486
Al12 Al 0.440 0.560 0.750
Al13 Al 0.440 0.879 0.750
Al14 Al 0.560 0.121 0.250
Al15 Al 0.560 0.440 0.250
Al16 Al 0.667 0.333 0.514
Al17 Al 0.667 0.333 0.986
Al18 Al 0.675 0.837 0.576
Al19 Al 0.675 0.837 0.924
Al20 Al 0.837 0.163 0.076
Al21 Al 0.837 0.163 0.424
Al22 Al 0.837 0.675 0.076
Al23 Al 0.837 0.675 0.424
Al24 Al 0.879 0.440 0.250
Os1 Os 0.000 0.000 0.000
Os2 Os 0.000 0.000 0.500
Os3 Os 0.000 0.500 0.000
Os4 Os 0.000 0.500 0.500
Os5 Os 0.500 0.000 0.000
Os6 Os 0.500 0.000 0.500
Os7 Os 0.500 0.500 0.000
Os8 Os 0.500 0.500 0.500
# SG = P6_3/mmc (194)



(12)
# Tm3Al12Os4, optimized geometry, DFT PBE-GGA
data_Tm3Al12Os4
_space_group_name_H-M_alt 'P 1'
_space_group_IT_number 1
_cell_length_a 8.811
_cell_length_b 8.811
_cell_length_c 9.532
_cell_angle_alpha 90.00
_cell_angle_beta 90.00
_cell_angle_gamma 120.00
loop_
_space_group_symop_operation_xyz
'x,y,z'
loop_
_atom_site_label
_atom_site_type_symbol
_atom_site_fract_x
_atom_site_fract_y
_atom_site_fract_z
Tm1 Tm 0.194 0.388 0.250
Tm2 Tm 0.194 0.806 0.250
Tm3 Tm 0.388 0.194 0.750
Tm4 Tm 0.612 0.806 0.250
Tm5 Tm 0.806 0.194 0.750
Tm6 Tm 0.806 0.612 0.750
Al1 Al 0.000 0.000 0.250
Al2 Al 0.000 0.000 0.750
Al3 Al 0.120 0.560 0.750
Al4 Al 0.163 0.325 0.576
Al5 Al 0.163 0.325 0.924
Al6 Al 0.163 0.837 0.576
Al7 Al 0.163 0.837 0.924
Al8 Al 0.325 0.163 0.076
Al9 Al 0.325 0.163 0.424
Al10 Al 0.333 0.667 0.015
Al11 Al 0.333 0.667 0.485
Al12 Al 0.440 0.560 0.750
Al13 Al 0.440 0.880 0.750
Al14 Al 0.560 0.120 0.250
Al15 Al 0.560 0.440 0.250
Al16 Al 0.667 0.333 0.515
Al17 Al 0.667 0.333 0.985
Al18 Al 0.675 0.837 0.576
Al19 Al 0.675 0.837 0.924
Al20 Al 0.837 0.163 0.076
Al21 Al 0.837 0.163 0.424
Al22 Al 0.837 0.675 0.076
Al23 Al 0.837 0.675 0.424
Al24 Al 0.880 0.440 0.250
Os1 Os 0.000 0.000 0.000
Os2 Os 0.000 0.000 0.500
Os3 Os 0.000 0.500 0.000
Os4 Os 0.000 0.500 0.500
Os5 Os 0.500 0.000 0.000
Os6 Os 0.500 0.000 0.500
Os7 Os 0.500 0.500 0.000
Os8 Os 0.500 0.500 0.500
# SG = P6_3/mmc (194)



(13)
# Tm2AlOs, optimized geometry, DFT PBE-GGA
data_Tm2AlOs
_space_group_name_H-M_alt 'P 1'
_space_group_IT_number 1
_cell_length_a 4.881
_cell_length_b 4.881
_cell_length_c 4.881
_cell_angle_alpha 60.00
_cell_angle_beta 60.00
_cell_angle_gamma 60.00
loop_
_space_group_symop_operation_xyz
'x,y,z'
loop_
_atom_site_label
_atom_site_type_symbol
_atom_site_fract_x
_atom_site_fract_y
_atom_site_fract_z
Tm1 Tm 0.250 0.250 0.250
Tm2 Tm 0.750 0.750 0.750
Al1 Al 0.000 0.000 0.000
Os1 Os 0.500 0.500 0.500
# SG = Fm-3m (225)



Taking the records one at a time from the top gives ρ values of 3.8, 3.8, 5.5, 5.6, 5.5, 13.1, 11.0, 9.6, 6.1, 7.1, 8.0, 8.2, 11.2 Mg/m³.
Taking the records one at a time from the top gives formation enthalpy at 0 K values of -3.1944, -3.3005, -0.7033, -2.9463, -0.7140, -0.4008, -0.4940, -0.5624, -0.4579, -0.6061, -0.5923, -0.5807, -0.3361 eV per atom.
Taking the records one at a time from the top gives total energy values of -478.14, -196.00, -124.17, -39.81, -124.35, -15.77, -36.16, -20.41, -70.64, -194.09, -115.01, -114.32, -25.27 eV/f.u..